1.
# FeCuS2

A geometry-optimized FeCuS2 structure (PBE, Materials Project).

Lattice parameters (Å, degrees): 6.242 6.242 6.242 31.70 31.70 31.70
Fractional positions:
Fe (0.001, 0.001, 0.001)
Cu (0.854, 0.854, 0.854)
S (0.731, 0.731, 0.731)
S (0.262, 0.262, 0.262)

magnetic moment = 1.0 μB/f.u.
E (MP2020) = -5.718 eV per atom


2.
# AlBiSCl4

A geometry-optimized AlBiSCl4 structure (PBE, Materials Project).

Lattice parameters (Å, degrees): 10.288 10.288 10.288 107.76 107.76 112.94
Fractional positions:
Al (0.591, 0.711, 0.730)
Al (0.139, 0.409, 0.120)
Al (0.981, 0.861, 0.270)
Al (0.289, 0.019, 0.880)
Bi (0.807, 0.215, 0.288)
Bi (0.785, 0.073, 0.592)
Bi (0.927, 0.519, 0.712)
Bi (0.481, 0.193, 0.408)
S (0.011, 0.318, 0.585)
S (0.733, 0.426, 0.415)
S (0.574, 0.989, 0.307)
S (0.682, 0.267, 0.693)
Cl (0.834, 0.819, 0.384)
Cl (0.509, 0.813, 0.588)
Cl (0.822, 0.767, 0.742)
Cl (0.181, 0.565, 0.015)
Cl (0.550, 0.166, 0.985)
Cl (0.920, 0.178, 0.945)
Cl (0.025, 0.080, 0.258)
Cl (0.233, 0.975, 0.055)
Cl (0.225, 0.921, 0.412)
Cl (0.079, 0.491, 0.304)
Cl (0.189, 0.135, 0.784)
Cl (0.352, 0.406, 0.216)
Cl (0.187, 0.775, 0.696)
Cl (0.865, 0.648, 0.054)
Cl (0.435, 0.450, 0.616)
Cl (0.594, 0.811, 0.946)

magnetic moment = 0.0 μB/f.u.
E (MP2020) = -4.319 eV per atom